Compound: Er2B6Rh9
Source: the Materials Project
Functional: r²SCAN
Structure: optimized geometry

Results
E_form = -699 meV/atom
SG = P6/mmm
Total energy = -20.061 eV/atom
Magnetic moment = 0.000 μB/cell

Geometry as POSCAR:
```
Er2B6Rh9
1.0
5.552 0.000 0.000
-2.776 4.808 0.000
0.000 0.000 8.525
Er B Rh
2 6 9
Cartesian
0.000 0.000 1.751
0.000 0.000 6.775
0.000 3.205 1.430
0.000 3.205 4.263
0.000 3.205 7.096
2.776 1.603 1.430
2.776 1.603 4.263
2.776 1.603 7.096
-1.388 2.404 0.000
-1.388 2.404 2.861
-1.388 2.404 5.664
2.776 0.000 0.000
2.776 0.000 2.861
2.776 0.000 5.664
1.388 2.404 0.000
1.388 2.404 2.861
1.388 2.404 5.664
```